# Tb

Tb after structural relaxation (meta-GGA r2SCAN, the Materials Project database).

Computed properties:
theoretical density	8.2	g/cm3
energy relative to the elements	0.032	eV/atom
VASP energy	-31.1949	eV/atom
total moment	0.000	μB/cell
SG	Fm-3m (225)
relative energy among the computed polymorphs	32	meV per atom

a = 3.5638 Å, b = 3.5638 Å, c = 3.5638 Å
α = 60.00°, β = 60.00°, γ = 60.00°
Fractional coordinates of all 1 atoms:
Tb 0.0000 0.0000 0.0000

---

# Tb

Tb after structural relaxation (meta-GGA r2SCAN, the Materials Project database).

Computed properties:
theoretical density	8.2	g/cm3
energy relative to the elements	0.003	eV/atom
VASP energy	-31.2229	eV/atom
total moment	0.303	μB/cell
SG	R-3m (166)
relative energy among the computed polymorphs	3	meV per atom

a = 3.6071 Å, b = 3.6071 Å, c = 8.8370 Å
α = 78.22°, β = 78.22°, γ = 60.00°
Fractional coordinates of all 3 atoms:
Tb 0.7782 0.7782 0.6655
Tb 0.2218 0.2218 0.3345
Tb 0.0000 0.0000 0.0000

---

# Tb

Tb after structural relaxation (meta-GGA r2SCAN, the Materials Project database).

Computed properties:
theoretical density	8.1	g/cm3
energy relative to the elements	0.002	eV/atom
VASP energy	-31.2249	eV/atom
total moment	0.421	μB/cell
SG	P6_3/mmc (194)
relative energy among the computed polymorphs	2	meV per atom

a = 3.5937 Å, b = 3.5937 Å, c = 17.4406 Å
α = 90.00°, β = 90.00°, γ = 120.00°
Fractional coordinates of all 6 atoms:
Tb 0.6667 0.3333 0.5828
Tb 0.3333 0.6667 0.4172
Tb 0.3333 0.6667 0.0828
Tb 0.0000 0.0000 0.7500
Tb 0.6667 0.3333 0.9172
Tb 0.0000 0.0000 0.2500

---

# TbTc2

TbTc2 after structural relaxation (meta-GGA r2SCAN, the Materials Project database).

Computed properties:
theoretical density	10.7	g/cm3
energy relative to the elements	-0.178	eV/atom
VASP energy	-27.8966	eV/atom
total moment	0.000	μB/cell
SG	P6_3/mmc (194)

a = 5.3531 Å, b = 5.3531 Å, c = 8.8660 Å
α = 90.00°, β = 90.00°, γ = 120.00°
Fractional coordinates of all 12 atoms:
Tc 0.0000 0.0000 0.5000
Tc 0.6575 0.8287 0.7500
Tc 0.8288 0.1712 0.2500
Tc 0.1712 0.8288 0.7500
Tc 0.0000 0.0000 0.0000
Tb 0.3333 0.6667 0.0629
Tb 0.6667 0.3333 0.5629
Tc 0.1713 0.3425 0.7500
Tc 0.3425 0.1713 0.2500
Tb 0.6667 0.3333 0.9371
Tc 0.8287 0.6575 0.2500
Tb 0.3333 0.6667 0.4371